[1]
# Li7Mn2Co3O12 PBE+U relaxed
# MP2020-corrected energy = -6.513 eV/atom
# ΔE_f = -1.83 eV per atom
# Relative energy among the computed polymorphs = 103 meV/atom
# Calculated density = 4.001 g/cm3
# VASP energy = -5.8260 eV/atom
data_Li7Mn2Co3O12
_cell_length_a 3.026
_cell_length_b 8.044
_cell_length_c 9.836
_cell_angle_alpha 66.36
_cell_angle_beta 86.37
_cell_angle_gamma 89.42
_space_group_name_H-M_alt 'P 1'
_space_group_IT_number 1
loop_
_space_group_symop_operation_xyz
'x,y,z'
loop_
_atom_site_label
_atom_site_fract_x
_atom_site_fract_y
_atom_site_fract_z
Li1 0.000 0.000 0.000
Li2 0.000 0.321 0.341
Li3 0.000 0.649 0.679
Li4 0.496 0.162 0.171
Li5 0.500 0.323 0.839
Li6 0.501 0.823 0.839
Li7 0.504 0.484 0.509
Mn1 0.004 0.824 0.341
Mn2 0.498 0.655 0.170
Co1 0.000 0.161 0.682
Co2 0.504 0.993 0.510
Co3 0.995 0.483 0.997
O1 0.006 0.262 0.009
O2 0.008 0.062 0.348
O3 0.028 0.585 0.334
O4 0.472 0.896 0.176
O5 0.473 0.226 0.516
O6 0.476 0.566 0.852
O7 0.520 0.079 0.828
O8 0.524 0.418 0.164
O9 0.529 0.752 0.506
O10 0.978 0.717 0.011
O11 0.991 0.929 0.668
O12 0.996 0.383 0.670


[2]
# Li5MnCo2O8 PBE+U relaxed
# MP2020-corrected energy = -6.373 eV/atom
# ΔE_f = -1.84 eV per atom
# Relative energy among the computed polymorphs = 45 meV/atom
# Calculated density = 3.928 g/cm3
# VASP energy = -5.7205 eV/atom
data_Li5MnCo2O8
_cell_length_a 12.426
_cell_length_b 2.951
_cell_length_c 9.846
_cell_angle_alpha 90.00
_cell_angle_beta 128.21
_cell_angle_gamma 90.00
_space_group_name_H-M_alt 'C 1 m 1'
_space_group_IT_number 8
loop_
_space_group_symop_operation_xyz
'x,y,z'
'x,-y,z'
'x+1/2,y+1/2,z'
'x+1/2,-y+1/2,z'
loop_
_atom_site_label
_atom_site_fract_x
_atom_site_fract_y
_atom_site_fract_z
Li1 0.000 0.000 0.000
Li2 0.003 0.500 0.511
Li3 0.253 0.500 0.266
Li4 0.264 0.000 0.762
Li5 0.380 0.500 0.644
Mn1 0.123 0.500 0.879
Co1 0.139 0.000 0.399
Co2 0.385 0.000 0.136
O1 0.065 0.500 0.207
O2 0.076 0.000 0.723
O3 0.185 0.500 0.559
O4 0.193 0.000 0.055
O5 0.297 0.000 0.438
O6 0.315 0.500 0.957
O7 0.452 0.500 0.322
O8 0.454 0.000 0.829


[3]
# Li7Mn4CoO12 PBE+U relaxed
# MP2020-corrected energy = -6.864 eV/atom
# ΔE_f = -2.01 eV per atom
# Relative energy among the computed polymorphs = 74 meV/atom
# Calculated density = 3.887 g/cm3
# VASP energy = -6.1740 eV/atom
data_Li7Mn4CoO12
_cell_length_a 2.973
_cell_length_b 5.114
_cell_length_c 14.613
_cell_angle_alpha 88.53
_cell_angle_beta 88.03
_cell_angle_gamma 87.96
_space_group_name_H-M_alt 'P 1'
_space_group_IT_number 1
loop_
_space_group_symop_operation_xyz
'x,y,z'
loop_
_atom_site_label
_atom_site_fract_x
_atom_site_fract_y
_atom_site_fract_z
Li1 0.000 0.000 0.000
Li2 0.003 0.667 0.341
Li3 0.007 0.670 0.842
Li4 0.017 0.339 0.685
Li5 0.499 0.519 0.992
Li6 0.503 0.818 0.689
Li7 0.507 0.168 0.343
Mn1 0.004 0.336 0.174
Mn2 0.013 0.003 0.509
Mn3 0.508 0.170 0.843
Mn4 0.513 0.504 0.509
Co1 0.505 0.836 0.174
O1 0.027 0.023 0.771
O2 0.036 0.675 0.102
O3 0.048 0.682 0.585
O4 0.473 0.825 0.430
O5 0.482 0.179 0.100
O6 0.505 0.475 0.765
O7 0.515 0.864 0.921
O8 0.529 0.496 0.252
O9 0.542 0.179 0.583
O10 0.970 0.323 0.430
O11 0.980 0.998 0.249
O12 0.992 0.317 0.915


[4]
# Li7Mn4CoO12 PBE+U relaxed
# MP2020-corrected energy = -6.554 eV/atom
# ΔE_f = -1.70 eV per atom
# Relative energy among the computed polymorphs = 385 meV/atom
# Calculated density = 3.892 g/cm3
# VASP energy = -5.8639 eV/atom
data_Li7Mn4CoO12
_cell_length_a 29.458
_cell_length_b 2.866
_cell_length_c 5.304
_cell_angle_alpha 90.00
_cell_angle_beta 98.26
_cell_angle_gamma 90.00
_space_group_name_H-M_alt 'C 1 m 1'
_space_group_IT_number 8
loop_
_space_group_symop_operation_xyz
'x,y,z'
'x,-y,z'
'x+1/2,y+1/2,z'
'x+1/2,-y+1/2,z'
loop_
_atom_site_label
_atom_site_fract_x
_atom_site_fract_y
_atom_site_fract_z
Li1 0.000 0.000 0.000
Li2 0.001 0.500 0.498
Li3 0.171 0.000 0.511
Li4 0.172 0.500 0.016
Li5 0.250 0.000 0.247
Li6 0.327 0.500 0.477
Li7 0.329 0.000 0.981
Mn1 0.084 0.500 0.250
Mn2 0.249 0.500 0.748
Mn3 0.416 0.500 0.242
Mn4 0.417 0.000 0.743
Co1 0.083 0.000 0.751
O1 0.045 0.000 0.355
O2 0.046 0.500 0.860
O3 0.119 0.500 0.636
O4 0.122 0.000 0.138
O5 0.212 0.000 0.861
O6 0.212 0.500 0.417
O7 0.287 0.000 0.633
O8 0.287 0.500 0.077
O9 0.378 0.000 0.352
O10 0.379 0.500 0.851
O11 0.455 0.000 0.142
O12 0.456 0.500 0.641


[5]
# Li4Mn3CoO8 PBE+U relaxed
# MP2020-corrected energy = -7.108 eV/atom
# ΔE_f = -1.99 eV per atom
# Relative energy among the computed polymorphs = 33 meV/atom
# Calculated density = 4.153 g/cm3
# VASP energy = -6.3494 eV/atom
data_Li4Mn3CoO8
_cell_length_a 5.047
_cell_length_b 3.075
_cell_length_c 10.014
_cell_angle_alpha 90.00
_cell_angle_beta 102.40
_cell_angle_gamma 90.00
_space_group_name_H-M_alt 'P 1 2/m 1'
_space_group_IT_number 10
loop_
_space_group_symop_operation_xyz
'x,y,z'
'-x,-y,-z'
'-x,y,-z'
'x,-y,z'
loop_
_atom_site_label
_atom_site_fract_x
_atom_site_fract_y
_atom_site_fract_z
Li1 0.248 0.000 0.250
Li2 0.249 0.500 0.753
Mn1 0.000 0.000 0.500
Mn2 0.000 0.500 0.000
Mn3 0.500 0.500 0.500
Co1 0.500 0.000 0.000
O1 0.138 0.000 0.883
O2 0.142 0.500 0.383
O3 0.359 0.000 0.615
O4 0.363 0.500 0.111


[6]
# Li7Mn2Co3O12 PBE+U relaxed
# MP2020-corrected energy = -6.594 eV/atom
# ΔE_f = -1.91 eV per atom
# Relative energy among the computed polymorphs = 22 meV/atom
# Calculated density = 4.083 g/cm3
# VASP energy = -5.9065 eV/atom
data_Li7Mn2Co3O12
_cell_length_a 5.073
_cell_length_b 6.520
_cell_length_c 6.632
_cell_angle_alpha 83.31
_cell_angle_beta 81.93
_cell_angle_gamma 82.91
_space_group_name_H-M_alt 'P -1'
_space_group_IT_number 2
loop_
_space_group_symop_operation_xyz
'x,y,z'
'-x,-y,-z'
loop_
_atom_site_label
_atom_site_fract_x
_atom_site_fract_y
_atom_site_fract_z
Li1 0.000 0.000 0.000
Li2 0.240 0.249 0.240
Li3 0.245 0.586 0.919
Li4 0.246 0.916 0.584
Mn1 0.499 0.165 0.838
Co1 0.002 0.325 0.675
Co2 0.500 0.500 0.500
O1 0.133 0.608 0.616
O2 0.141 0.936 0.288
O3 0.149 0.286 0.943
O4 0.379 0.558 0.213
O5 0.382 0.207 0.566
O6 0.394 0.887 0.889


[7]
# Li7Mn2Co3O12 PBE+U relaxed
# MP2020-corrected energy = -6.585 eV/atom
# ΔE_f = -1.90 eV per atom
# Relative energy among the computed polymorphs = 31 meV/atom
# Calculated density = 4.109 g/cm3
# VASP energy = -5.8981 eV/atom
data_Li7Mn2Co3O12
_cell_length_a 5.154
_cell_length_b 5.884
_cell_length_c 7.632
_cell_angle_alpha 99.94
_cell_angle_beta 96.58
_cell_angle_gamma 108.15
_space_group_name_H-M_alt 'P 1'
_space_group_IT_number 1
loop_
_space_group_symop_operation_xyz
'x,y,z'
loop_
_atom_site_label
_atom_site_fract_x
_atom_site_fract_y
_atom_site_fract_z
Li1 0.000 0.000 0.000
Li2 0.000 0.327 0.327
Li3 0.001 0.838 0.326
Li4 0.006 0.507 0.003
Li5 0.008 0.161 0.663
Li6 0.009 0.670 0.661
Li7 0.505 0.916 0.162
Mn1 0.502 0.419 0.160
Mn2 0.504 0.591 0.830
Co1 0.500 0.240 0.488
Co2 0.502 0.082 0.830
Co3 0.511 0.757 0.487
O1 0.268 0.320 0.922
O2 0.273 0.145 0.253
O3 0.278 0.609 0.247
O4 0.280 0.962 0.589
O5 0.283 0.472 0.590
O6 0.288 0.792 0.900
O7 0.710 0.371 0.745
O8 0.713 0.215 0.068
O9 0.731 0.688 0.070
O10 0.737 0.531 0.395
O11 0.745 0.037 0.426
O12 0.746 0.855 0.751


[8]
# Li6Mn3CoO10 PBE+U relaxed
# MP2020-corrected energy = -6.825 eV/atom
# ΔE_f = -2.05 eV per atom
# Relative energy among the computed polymorphs = 12 meV/atom
# Calculated density = 3.941 g/cm3
# VASP energy = -6.1493 eV/atom
data_Li6Mn3CoO10
_cell_length_a 5.163
_cell_length_b 5.922
_cell_length_c 6.526
_cell_angle_alpha 104.30
_cell_angle_beta 96.22
_cell_angle_gamma 108.74
_space_group_name_H-M_alt 'P 1'
_space_group_IT_number 1
loop_
_space_group_symop_operation_xyz
'x,y,z'
loop_
_atom_site_label
_atom_site_fract_x
_atom_site_fract_y
_atom_site_fract_z
Li1 0.000 0.000 0.000
Li2 0.000 0.491 0.998
Li3 0.198 0.901 0.392
Li4 0.387 0.294 0.805
Li5 0.597 0.703 0.188
Li6 0.803 0.095 0.599
Mn1 0.194 0.389 0.389
Mn2 0.398 0.799 0.798
Mn3 0.798 0.600 0.600
Co1 0.599 0.190 0.188
O1 0.106 0.916 0.699
O2 0.119 0.456 0.691
O3 0.296 0.355 0.120
O4 0.325 0.861 0.084
O5 0.473 0.738 0.505
O6 0.488 0.268 0.477
O7 0.669 0.133 0.899
O8 0.678 0.657 0.874
O9 0.901 0.518 0.305
O10 0.910 0.069 0.308


[9]
# Li6Mn3CoO10 PBE+U relaxed
# MP2020-corrected energy = -6.617 eV/atom
# ΔE_f = -1.84 eV per atom
# Relative energy among the computed polymorphs = 220 meV/atom
# Calculated density = 3.932 g/cm3
# VASP energy = -5.9409 eV/atom
data_Li6Mn3CoO10
_cell_length_a 2.944
_cell_length_b 5.077
_cell_length_c 12.641
_cell_angle_alpha 78.79
_cell_angle_beta 88.43
_cell_angle_gamma 75.78
_space_group_name_H-M_alt 'P 1'
_space_group_IT_number 1
loop_
_space_group_symop_operation_xyz
'x,y,z'
loop_
_atom_site_label
_atom_site_fract_x
_atom_site_fract_y
_atom_site_fract_z
Li1 0.000 0.000 0.000
Li2 0.091 0.806 0.700
Li3 0.279 0.410 0.088
Li4 0.502 0.002 0.503
Li5 0.723 0.589 0.914
Li6 0.909 0.187 0.300
Mn1 0.193 0.602 0.403
Mn2 0.408 0.198 0.806
Mn3 0.592 0.800 0.194
Co1 0.816 0.393 0.602
O1 0.014 0.940 0.843
O2 0.135 0.679 0.551
O3 0.207 0.533 0.252
O4 0.345 0.305 0.937
O5 0.479 0.119 0.654
O6 0.516 0.887 0.347
O7 0.656 0.694 0.063
O8 0.792 0.463 0.748
O9 0.875 0.310 0.457
O10 0.986 0.057 0.157


[10]
# Li4MnCo2O7 PBE+U relaxed
# MP2020-corrected energy = -6.502 eV/atom
# ΔE_f = -1.81 eV per atom
# Relative energy among the computed polymorphs = 71 meV/atom
# Calculated density = 4.159 g/cm3
# VASP energy = -5.8052 eV/atom
data_Li4MnCo2O7
_cell_length_a 20.925
_cell_length_b 2.864
_cell_length_c 8.507
_cell_angle_alpha 90.00
_cell_angle_beta 101.67
_cell_angle_gamma 90.00
_space_group_name_H-M_alt 'C 1 m 1'
_space_group_IT_number 8
loop_
_space_group_symop_operation_xyz
'x,y,z'
'x,-y,z'
'x+1/2,y+1/2,z'
'x+1/2,-y+1/2,z'
loop_
_atom_site_label
_atom_site_fract_x
_atom_site_fract_y
_atom_site_fract_z
Li1 0.000 0.000 0.000
Li2 0.002 0.000 0.497
Li3 0.068 0.500 0.289
Li4 0.138 0.000 0.563
Li5 0.213 0.500 0.850
Li6 0.286 0.000 0.142
Li7 0.358 0.500 0.425
Li8 0.431 0.000 0.695
Mn1 0.071 0.500 0.768
Mn2 0.358 0.500 0.927
Co1 0.143 0.000 0.064
Co2 0.213 0.500 0.351
Co3 0.285 0.000 0.636
Co4 0.433 0.000 0.243
O1 0.008 0.000 0.754
O2 0.072 0.500 0.554
O3 0.079 0.500 0.017
O4 0.137 0.000 0.811
O5 0.149 0.000 0.318
O6 0.206 0.500 0.096
O7 0.223 0.500 0.606
O8 0.277 0.000 0.382
O9 0.293 0.000 0.895
O10 0.349 0.500 0.684
O11 0.361 0.500 0.152
O12 0.420 0.000 0.945
O13 0.424 0.000 0.448
O14 0.497 0.500 0.237


[11]
# Li4MnCo3O8 PBE+U relaxed
# MP2020-corrected energy = -6.632 eV/atom
# ΔE_f = -1.77 eV per atom
# Relative energy among the computed polymorphs = 21 meV/atom
# Calculated density = 4.352 g/cm3
# VASP energy = -5.8767 eV/atom
data_Li4MnCo3O8
_cell_length_a 5.013
_cell_length_b 5.890
_cell_length_c 5.983
_cell_angle_alpha 61.30
_cell_angle_beta 76.69
_cell_angle_gamma 73.87
_space_group_name_H-M_alt 'P -1'
_space_group_IT_number 2
loop_
_space_group_symop_operation_xyz
'x,y,z'
'-x,-y,-z'
loop_
_atom_site_label
_atom_site_fract_x
_atom_site_fract_y
_atom_site_fract_z
Li1 0.000 0.000 0.000
Li2 0.000 0.500 0.500
Li3 0.493 0.254 0.748
Mn1 0.000 0.000 0.500
Co1 0.000 0.500 0.000
Co2 0.499 0.252 0.248
O1 0.248 0.615 0.109
O2 0.252 0.651 0.618
O3 0.253 0.116 0.610
O4 0.253 0.160 0.110


[12]
# Li4MnCo2O7 PBE+U relaxed
# MP2020-corrected energy = -6.539 eV/atom
# ΔE_f = -1.85 eV per atom
# Relative energy among the computed polymorphs = 34 meV/atom
# Calculated density = 4.107 g/cm3
# VASP energy = -5.8423 eV/atom
data_Li4MnCo2O7
_cell_length_a 5.146
_cell_length_b 7.713
_cell_length_c 7.738
_cell_angle_alpha 60.65
_cell_angle_beta 71.12
_cell_angle_gamma 83.84
_space_group_name_H-M_alt 'P -1'
_space_group_IT_number 2
loop_
_space_group_symop_operation_xyz
'x,y,z'
'-x,-y,-z'
loop_
_atom_site_label
_atom_site_fract_x
_atom_site_fract_y
_atom_site_fract_z
Li1 0.000 0.000 0.000
Li2 0.001 0.707 0.435
Li3 0.004 0.857 0.712
Li4 0.005 0.430 0.852
Li5 0.500 0.500 0.500
Mn1 0.496 0.784 0.073
Co1 0.493 0.641 0.777
Co2 0.495 0.077 0.640
O1 0.265 0.683 0.615
O2 0.268 0.106 0.457
O3 0.268 0.555 0.298
O4 0.278 0.381 0.031
O5 0.278 0.822 0.896
O6 0.278 0.968 0.161
O7 0.280 0.236 0.756